# VZnGe2O6 GGA+U optimized geometry
# Space-group type = P2_1/c (14)
data_VZnGe2O6
_chemical_formula_sum 'V4 Zn4 Ge8 O24'
_symmetry_space_group_name_H-M 'P 1'
_symmetry_Int_Tables_number 1
_cell_length_a 9.840
_cell_length_b 9.386
_cell_length_c 5.532
_cell_angle_alpha 90.00
_cell_angle_beta 102.78
_cell_angle_gamma 90.00
loop_
_symmetry_equiv_pos_as_xyz
'x,y,z'
loop_
_atom_site_label
_atom_site_type_symbol
_atom_site_fract_x
_atom_site_fract_y
_atom_site_fract_z
V1 V 0.247 0.155 0.466
V2 V 0.247 0.345 0.966
V3 V 0.753 0.655 0.034
V4 V 0.753 0.845 0.534
Zn1 Zn 0.245 0.502 0.458
Zn2 Zn 0.245 0.998 0.958
Zn3 Zn 0.755 0.002 0.042
Zn4 Zn 0.755 0.498 0.542
Ge1 Ge 0.058 0.664 0.814
Ge2 Ge 0.058 0.836 0.314
Ge3 Ge 0.454 0.659 0.251
Ge4 Ge 0.454 0.841 0.751
Ge5 Ge 0.546 0.159 0.249
Ge6 Ge 0.546 0.341 0.749
Ge7 Ge 0.942 0.164 0.686
Ge8 Ge 0.942 0.336 0.186
O1 O 0.109 0.685 0.149
O2 O 0.109 0.815 0.649
O3 O 0.128 0.162 0.755
O4 O 0.128 0.338 0.255
O5 O 0.142 0.515 0.730
O6 O 0.142 0.985 0.230
O7 O 0.362 0.163 0.181
O8 O 0.362 0.337 0.681
O9 O 0.371 0.006 0.714
O10 O 0.371 0.494 0.214
O11 O 0.384 0.720 0.506
O12 O 0.384 0.780 0.006
O13 O 0.616 0.220 0.994
O14 O 0.616 0.280 0.494
O15 O 0.629 0.506 0.786
O16 O 0.629 0.994 0.286
O17 O 0.638 0.663 0.319
O18 O 0.638 0.837 0.819
O19 O 0.858 0.015 0.770
O20 O 0.858 0.485 0.270
O21 O 0.872 0.662 0.745
O22 O 0.872 0.838 0.245
O23 O 0.891 0.185 0.351
O24 O 0.891 0.315 0.851


# CaMnV4Cu2O12 GGA+U optimized geometry
# Space-group type = Immm (71)
data_CaMnV4Cu2O12
_chemical_formula_sum 'Ca1 Mn1 V4 Cu2 O12'
_symmetry_space_group_name_H-M 'P 1'
_symmetry_Int_Tables_number 1
_cell_length_a 6.438
_cell_length_b 6.438
_cell_length_c 6.438
_cell_angle_alpha 110.51
_cell_angle_beta 108.98
_cell_angle_gamma 108.93
loop_
_symmetry_equiv_pos_as_xyz
'x,y,z'
loop_
_atom_site_label
_atom_site_type_symbol
_atom_site_fract_x
_atom_site_fract_y
_atom_site_fract_z
Ca1 Ca 0.000 0.000 0.000
Mn1 Mn 0.500 0.000 0.500
V1 V 0.000 0.000 0.500
V2 V 0.000 0.500 0.000
V3 V 0.500 0.000 0.000
V4 V 0.500 0.500 0.500
Cu1 Cu 0.000 0.500 0.500
Cu2 Cu 0.500 0.500 0.000
O1 O 0.118 0.298 0.820
O2 O 0.183 0.488 0.305
O3 O 0.183 0.878 0.695
O4 O 0.306 0.176 0.482
O5 O 0.306 0.824 0.130
O6 O 0.478 0.298 0.180
O7 O 0.522 0.702 0.820
O8 O 0.694 0.176 0.870
O9 O 0.694 0.824 0.518
O10 O 0.817 0.122 0.305
O11 O 0.817 0.512 0.695
O12 O 0.882 0.702 0.180


# Pr2Hf3Mo9O36 GGA+U optimized geometry
# Space-group type = R-3c (167)
data_Pr2Hf3Mo9O36
_chemical_formula_sum 'Pr4 Hf6 Mo18 O72'
_symmetry_space_group_name_H-M 'P 1'
_symmetry_Int_Tables_number 1
_cell_length_a 20.776
_cell_length_b 20.776
_cell_length_c 20.776
_cell_angle_alpha 27.73
_cell_angle_beta 27.73
_cell_angle_gamma 27.73
loop_
_symmetry_equiv_pos_as_xyz
'x,y,z'
loop_
_atom_site_label
_atom_site_type_symbol
_atom_site_fract_x
_atom_site_fract_y
_atom_site_fract_z
Pr1 Pr 0.196 0.196 0.196
Pr2 Pr 0.304 0.304 0.304
Pr3 Pr 0.696 0.696 0.696
Pr4 Pr 0.804 0.804 0.804
Hf1 Hf 0.000 0.000 0.000
Hf2 Hf 0.096 0.096 0.096
Hf3 Hf 0.404 0.404 0.404
Hf4 Hf 0.500 0.500 0.500
Hf5 Hf 0.596 0.596 0.596
Hf6 Hf 0.904 0.904 0.904
Mo1 Mo 0.033 0.750 0.467
Mo2 Mo 0.122 0.298 0.655
Mo3 Mo 0.155 0.798 0.622
Mo4 Mo 0.202 0.378 0.845
Mo5 Mo 0.250 0.533 0.967
Mo6 Mo 0.298 0.655 0.122
Mo7 Mo 0.345 0.878 0.702
Mo8 Mo 0.378 0.845 0.202
Mo9 Mo 0.467 0.033 0.750
Mo10 Mo 0.533 0.967 0.250
Mo11 Mo 0.622 0.155 0.798
Mo12 Mo 0.655 0.122 0.298
Mo13 Mo 0.702 0.345 0.878
Mo14 Mo 0.750 0.467 0.033
Mo15 Mo 0.798 0.622 0.155
Mo16 Mo 0.845 0.202 0.378
Mo17 Mo 0.878 0.702 0.345
Mo18 Mo 0.967 0.250 0.533
O1 O 0.006 0.841 0.658
O2 O 0.040 0.922 0.273
O3 O 0.062 0.198 0.420
O4 O 0.065 0.569 0.775
O5 O 0.069 0.565 0.275
O6 O 0.073 0.814 0.761
O7 O 0.078 0.727 0.960
O8 O 0.080 0.302 0.438
O9 O 0.101 0.818 0.138
O10 O 0.138 0.101 0.818
O11 O 0.158 0.341 0.506
O12 O 0.159 0.342 0.994
O13 O 0.182 0.862 0.899
O14 O 0.186 0.239 0.927
O15 O 0.198 0.420 0.062
O16 O 0.225 0.935 0.431
O17 O 0.227 0.578 0.460
O18 O 0.239 0.927 0.186
O19 O 0.261 0.314 0.573
O20 O 0.273 0.040 0.922
O21 O 0.275 0.069 0.565
O22 O 0.302 0.438 0.080
O23 O 0.314 0.573 0.261
O24 O 0.318 0.601 0.638
O25 O 0.341 0.506 0.158
O26 O 0.342 0.994 0.159
O27 O 0.362 0.682 0.399
O28 O 0.399 0.362 0.682
O29 O 0.420 0.062 0.198
O30 O 0.422 0.540 0.773
O31 O 0.427 0.739 0.686
O32 O 0.431 0.225 0.935
O33 O 0.435 0.725 0.931
O34 O 0.438 0.080 0.302
O35 O 0.460 0.227 0.578
O36 O 0.494 0.842 0.659
O37 O 0.506 0.158 0.341
O38 O 0.540 0.773 0.422
O39 O 0.562 0.920 0.698
O40 O 0.565 0.275 0.069
O41 O 0.569 0.775 0.065
O42 O 0.573 0.261 0.314
O43 O 0.578 0.460 0.227
O44 O 0.580 0.938 0.802
O45 O 0.601 0.638 0.318
O46 O 0.638 0.318 0.601
O47 O 0.658 0.006 0.841
O48 O 0.659 0.494 0.842
O49 O 0.682 0.399 0.362
O50 O 0.686 0.427 0.739
O51 O 0.698 0.562 0.920
O52 O 0.725 0.931 0.435
O53 O 0.727 0.960 0.078
O54 O 0.739 0.686 0.427
O55 O 0.761 0.073 0.814
O56 O 0.773 0.422 0.540
O57 O 0.775 0.065 0.569
O58 O 0.802 0.580 0.938
O59 O 0.814 0.761 0.073
O60 O 0.818 0.138 0.101
O61 O 0.841 0.658 0.006
O62 O 0.842 0.659 0.494
O63 O 0.862 0.899 0.182
O64 O 0.899 0.182 0.862
O65 O 0.920 0.698 0.562
O66 O 0.922 0.273 0.040
O67 O 0.927 0.186 0.239
O68 O 0.931 0.435 0.725
O69 O 0.935 0.431 0.225
O70 O 0.938 0.802 0.580
O71 O 0.960 0.078 0.727
O72 O 0.994 0.159 0.342


# TeW2O8 GGA+U optimized geometry
# Space-group type = P2/c (13)
data_TeW2O8
_chemical_formula_sum 'Te2 W4 O16'
_symmetry_space_group_name_H-M 'P 1'
_symmetry_Int_Tables_number 1
_cell_length_a 5.279
_cell_length_b 5.749
_cell_length_c 10.914
_cell_angle_alpha 90.00
_cell_angle_beta 111.70
_cell_angle_gamma 90.00
loop_
_symmetry_equiv_pos_as_xyz
'x,y,z'
loop_
_atom_site_label
_atom_site_type_symbol
_atom_site_fract_x
_atom_site_fract_y
_atom_site_fract_z
Te1 Te 0.000 0.096 0.250
Te2 Te 0.000 0.904 0.750
W1 W 0.250 0.347 0.010
W2 W 0.250 0.653 0.510
W3 W 0.750 0.347 0.490
W4 W 0.750 0.653 0.990
O1 O 0.139 0.423 0.607
O2 O 0.139 0.577 0.107
O3 O 0.219 0.110 0.118
O4 O 0.219 0.890 0.618
O5 O 0.234 0.137 0.866
O6 O 0.234 0.863 0.366
O7 O 0.362 0.375 0.410
O8 O 0.362 0.625 0.910
O9 O 0.638 0.375 0.090
O10 O 0.638 0.625 0.590
O11 O 0.766 0.137 0.634
O12 O 0.766 0.863 0.134
O13 O 0.781 0.110 0.382
O14 O 0.781 0.890 0.882
O15 O 0.861 0.423 0.893
O16 O 0.861 0.577 0.393


# Li2Mn4OF8 GGA+U optimized geometry
# Space-group type = Cc (9)
data_Li2Mn4OF8
_chemical_formula_sum 'Li4 Mn8 O2 F16'
_symmetry_space_group_name_H-M 'P 1'
_symmetry_Int_Tables_number 1
_cell_length_a 5.449
_cell_length_b 5.449
_cell_length_c 14.690
_cell_angle_alpha 90.71
_cell_angle_beta 90.71
_cell_angle_gamma 59.04
loop_
_symmetry_equiv_pos_as_xyz
'x,y,z'
loop_
_atom_site_label
_atom_site_type_symbol
_atom_site_fract_x
_atom_site_fract_y
_atom_site_fract_z
Li1 Li 0.004 0.996 0.500
Li2 Li 0.009 0.962 0.790
Li3 Li 0.962 0.009 0.290
Li4 Li 0.996 0.004 0.000
Mn1 Mn 0.313 0.340 0.839
Mn2 Mn 0.320 0.351 0.636
Mn3 Mn 0.340 0.313 0.339
Mn4 Mn 0.351 0.320 0.136
Mn5 Mn 0.651 0.688 0.189
Mn6 Mn 0.666 0.667 0.971
Mn7 Mn 0.667 0.666 0.471
Mn8 Mn 0.688 0.651 0.689
O1 O 0.050 0.610 0.738
O2 O 0.610 0.050 0.238
F1 F 0.005 0.675 0.410
F2 F 0.007 0.328 0.240
F3 F 0.296 0.692 0.908
F4 F 0.296 0.997 0.410
F5 F 0.298 0.660 0.238
F6 F 0.328 0.007 0.740
F7 F 0.350 0.962 0.068
F8 F 0.365 0.678 0.572
F9 F 0.656 0.974 0.572
F10 F 0.660 0.298 0.738
F11 F 0.675 0.005 0.910
F12 F 0.678 0.365 0.072
F13 F 0.692 0.296 0.408
F14 F 0.962 0.350 0.568
F15 F 0.974 0.656 0.072
F16 F 0.997 0.296 0.910


# Na3Li3Fe2P2C2O14 GGA+U optimized geometry
# Space-group type = P1 (1)
data_Na3Li3Fe2P2C2O14
_chemical_formula_sum 'Na6 Li6 Fe4 P4 C4 O28'
_symmetry_space_group_name_H-M 'P 1'
_symmetry_Int_Tables_number 1
_cell_length_a 6.666
_cell_length_b 8.729
_cell_length_c 10.201
_cell_angle_alpha 87.69
_cell_angle_beta 89.69
_cell_angle_gamma 88.81
loop_
_symmetry_equiv_pos_as_xyz
'x,y,z'
loop_
_atom_site_label
_atom_site_type_symbol
_atom_site_fract_x
_atom_site_fract_y
_atom_site_fract_z
Na1 Na 0.000 0.000 0.000
Na2 Na 0.001 0.482 0.249
Na3 Na 0.001 0.994 0.498
Na4 Na 0.002 0.480 0.744
Na5 Na 0.263 0.656 0.495
Na6 Na 0.501 0.481 0.247
Li1 Li 0.273 0.656 0.995
Li2 Li 0.470 0.455 0.756
Li3 Li 0.516 0.014 0.997
Li4 Li 0.528 0.016 0.489
Li5 Li 0.719 0.830 0.749
Li6 Li 0.734 0.836 0.245
Fe1 Fe 0.257 0.078 0.766
Fe2 Fe 0.260 0.088 0.263
Fe3 Fe 0.744 0.397 0.978
Fe4 Fe 0.750 0.382 0.490
P1 P 0.253 0.330 0.017
P2 P 0.262 0.322 0.523
P3 P 0.742 0.146 0.728
P4 P 0.751 0.147 0.228
C1 C 0.258 0.797 0.222
C2 C 0.264 0.778 0.740
C3 C 0.740 0.697 0.509
C4 C 0.741 0.700 0.010
O1 O 0.057 0.418 0.974
O2 O 0.067 0.414 0.485
O3 O 0.245 0.653 0.198
O4 O 0.250 0.829 0.858
O5 O 0.250 0.845 0.341
O6 O 0.256 0.308 0.169
O7 O 0.259 0.876 0.640
O8 O 0.270 0.161 0.463
O9 O 0.273 0.171 0.957
O10 O 0.275 0.302 0.676
O11 O 0.279 0.898 0.125
O12 O 0.282 0.633 0.722
O13 O 0.428 0.439 0.971
O14 O 0.438 0.424 0.472
O15 O 0.573 0.039 0.784
O16 O 0.577 0.045 0.284
O17 O 0.723 0.176 0.077
O18 O 0.724 0.161 0.575
O19 O 0.724 0.837 0.549
O20 O 0.727 0.842 0.043
O21 O 0.728 0.309 0.782
O22 O 0.745 0.593 0.103
O23 O 0.746 0.667 0.386
O24 O 0.749 0.585 0.598
O25 O 0.750 0.662 0.889
O26 O 0.758 0.302 0.295
O27 O 0.942 0.060 0.764
O28 O 0.945 0.048 0.254


Number 1: ΔE_f -2.059 eV per atom. Number 2: ΔE_f -2.225 eV per atom. Number 3: ΔE_f -2.569 eV per atom. Number 4: ΔE_f -1.905 eV per atom. Number 5: ΔE_f -2.815 eV per atom. Number 6: ΔE_f -2.305 eV per atom.